a) Te3As2 (r2SCAN, optimized geometry); calculated volume = 306.5 Å³/cell; crystal system = monoclinic
1.0
7.5016 -2.0176 0.0000
7.5016 2.0176 0.0000
-0.7611 0.0000 10.1262
Te As
6 4
Cartesian
0.3873 0.0000 2.9202 Te
2.8242 0.0000 6.7509 Te
5.5050 0.0000 0.2854 Te
8.7372 0.0000 9.8407 Te
11.4180 0.0000 3.3753 Te
13.8548 0.0000 7.2059 Te
3.0016 0.0000 1.4316 As
5.2525 0.0000 5.7242 As
8.9896 0.0000 4.4019 As
11.2405 0.0000 8.6946 As

b) Te3As2 (r2SCAN, optimized geometry); calculated volume = 1172.0 Å³/cell; crystal system = monoclinic
1.0
7.0352 0.0000 0.0000
0.0000 16.2725 0.0000
-2.3136 0.0000 10.2377
Te As
24 16
Cartesian
0.0000 0.0000 0.0000 Te
-2.3128 4.0681 10.2359 Te
0.0000 8.1362 0.0000 Te
7.0344 12.2043 0.0018 Te
0.0283 4.0681 6.7947 Te
0.0303 16.2716 6.7936 Te
0.0303 8.1371 6.7936 Te
0.0340 12.2043 6.7907 Te
1.1719 2.0357 3.4386 Te
1.1719 6.1006 3.4386 Te
1.1758 10.1685 3.4396 Te
1.1758 14.2401 3.4396 Te
1.2024 2.0319 10.2334 Te
1.2024 6.1043 10.2334 Te
3.5192 10.1681 0.0042 Te
3.5192 14.2406 0.0042 Te
3.5457 2.0323 6.7981 Te
3.5457 6.1039 6.7981 Te
3.5497 10.1719 6.7991 Te
3.5497 14.2368 6.7991 Te
4.6913 0.0008 3.4441 Te
4.6876 4.0681 3.4470 Te
4.6913 8.1354 3.4441 Te
4.6933 12.2043 3.4429 Te
-1.1411 2.0336 8.3848 As
-1.1411 6.1026 8.3848 As
-1.1403 10.1707 8.3775 As
-1.1403 14.2380 8.3775 As
2.3381 4.0681 1.8586 As
2.3531 16.2688 1.8488 As
2.3531 8.1399 1.8488 As
2.3518 12.2043 1.8610 As
2.3685 0.0037 8.3888 As
2.3698 4.0681 8.3767 As
2.3685 8.1326 8.3888 As
2.3835 12.2043 8.3791 As
5.8618 2.0345 1.8602 As
5.8618 6.1018 1.8602 As
5.8627 10.1699 1.8529 As
5.8627 14.2388 1.8529 As

It comes down to a), which is 23 meV/atom more stable than the next structure.

a) Nb3Au (r2SCAN, optimized geometry); calculated volume = 144.0 Å³/cell; crystal system = cubic
1.0
5.2410 0.0000 0.0000
0.0000 5.2410 0.0000
0.0000 0.0000 5.2410
Nb Au
6 2
Cartesian
0.0000 1.3103 2.6205 Nb
0.0000 3.9308 2.6205 Nb
1.3103 2.6205 0.0000 Nb
2.6205 0.0000 1.3103 Nb
2.6205 0.0000 3.9308 Nb
3.9308 2.6205 0.0000 Nb
0.0000 0.0000 0.0000 Au
2.6205 2.6205 2.6205 Au

b) Nb3Au (r2SCAN, optimized geometry); calculated volume = 71.8 Å³/cell; crystal system = orthorhombic
1.0
1.7391 -2.2060 0.0000
1.7391 2.2060 0.0000
0.0000 0.0000 9.3525
Nb Au
3 1
Cartesian
0.0000 0.0000 0.0000 Nb
1.7391 0.0000 2.3559 Nb
1.7391 0.0000 6.9966 Nb
0.0000 0.0000 4.6762 Au

It comes down to a), which is 10 meV/atom more stable than the next structure.

a) PmAu3 (r2SCAN, optimized geometry); calculated volume = 84.4 Å³/cell; crystal system = cubic
1.0
0.0000 3.4812 3.4812
3.4812 0.0000 3.4812
3.4812 3.4812 0.0000
Pm Au
1 3
Cartesian
0.0000 0.0000 0.0000 Pm
1.7406 1.7406 1.7406 Au
3.4812 3.4812 3.4812 Au
5.2218 5.2218 5.2218 Au

b) PmAu3 (r2SCAN, optimized geometry); calculated volume = 170.1 Å³/cell; crystal system = hexagonal
1.0
6.4488 0.0000 0.0000
-3.2244 5.5848 0.0000
0.0000 0.0000 4.7232
Pm Au
2 6
Cartesian
0.0000 3.7232 1.1808 Pm
3.2244 1.8616 3.5424 Pm
0.0000 1.7353 3.5424 Au
-1.7216 4.7171 3.5424 Au
1.5028 0.8677 1.1808 Au
1.7216 4.7171 3.5424 Au
4.9459 0.8677 1.1808 Au
3.2244 3.8495 1.1808 Au

It comes down to b), which is 23 meV/atom more stable than the next structure.